The following is a GGA-PBE calculation of a relaxed structure of Nd2ZnHg, from Materials Project.

Output
V	26.90	A^3/atom
energy	-3.1508	eV per atom
density	8556	kg/m³

```
4
Lattice="2.212 -0.456 4.838 -2.449 2.084 4.262 -2.202 -3.214 3.651" Properties=species:S:1:pos:R:3 pbc="T T T"
Nd -0.609 -0.396 3.188
Nd -1.828 -1.189 9.563
Zn 0.000 0.000 0.000
Hg -1.219 -0.793 6.375
```

---

The following is a GGA-PBE calculation of a relaxed structure of NiHg4, from Materials Project.

Output
V	23.65	A^3/atom
energy	-1.3739	eV per atom
density	12094	kg/m³

```
5
Lattice="-3.092 3.092 3.092 3.092 -3.092 3.092 3.092 3.092 -3.092" Properties=species:S:1:pos:R:3 pbc="T T T"
Ni 0.000 0.000 0.000
Hg 1.546 1.546 -1.546
Hg -1.546 1.546 1.546
Hg 1.546 1.546 1.546
Hg 1.546 -1.546 1.546
```

---

The following is a GGA-PBE calculation of a relaxed structure of NpHgO3, from Materials Project.

Output
V	15.54	A^3/atom
energy	-7.5875	eV per atom
density	10379	kg/m³

```
5
Lattice="4.267 0.000 0.000 0.000 4.267 0.000 0.000 0.000 4.267" Properties=species:S:1:pos:R:3 pbc="T T T"
Np 2.133 2.133 2.133
Hg 0.000 0.000 0.000
O 2.133 2.133 0.000
O 2.133 0.000 2.133
O 0.000 2.133 2.133
```

---

The following is a GGA-PBE calculation of a relaxed structure of HgO2, from Materials Project.

Output
V	16.13	A^3/atom
energy	-3.3362	eV per atom
density	7979	kg/m³

```
3
Lattice="-0.653 -3.401 -0.864 3.319 -1.125 0.676 0.116 -2.594 3.533" Properties=species:S:1:pos:R:3 pbc="T T T"
Hg 0.000 0.000 0.000
O 1.315 -3.875 2.336
O 1.468 -3.245 1.009
```

---

The following is a GGA-PBE calculation of a relaxed structure of HgO2, from Materials Project.

Output
V	15.93	A^3/atom
energy	-3.3261	eV per atom
density	8083	kg/m³

```
3
Lattice="-2.777 -2.089 0.597 0.418 -1.328 -3.239 1.410 -4.050 0.371" Properties=species:S:1:pos:R:3 pbc="T T T"
Hg 0.000 0.000 0.000
O -0.159 -4.389 -1.003
O -0.790 -3.078 -1.268
```

---

The following is a GGA-PBE calculation of a relaxed structure of HgO2, from Materials Project.

Output
V	15.99	A^3/atom
energy	-3.3586	eV per atom
density	8049	kg/m³

```
12
Lattice="-0.063 3.365 -3.575 -6.169 0.497 0.577 0.766 4.552 4.271" Properties=species:S:1:pos:R:3 pbc="T T T"
Hg 0.352 3.959 0.348
Hg 0.000 0.000 0.000
Hg -2.702 2.525 2.424
Hg -3.116 1.931 -1.499
O -3.089 4.281 1.280
O -0.093 2.269 1.569
O -3.451 0.890 0.330
O 0.270 5.661 2.519
O -2.377 4.133 -0.008
O -5.736 2.754 -1.247
O -2.015 7.524 0.942
O -5.373 6.145 -0.297
```

---

The following is a GGA-PBE calculation of a relaxed structure of HgO2, from Materials Project.

Output
V	16.23	A^3/atom
energy	-3.3529	eV per atom
density	7931	kg/m³

```
3
Lattice="-2.426 -2.144 1.766 1.422 -3.393 0.258 1.123 -1.649 4.234" Properties=species:S:1:pos:R:3 pbc="T T T"
Hg 0.000 0.000 0.000
O 0.328 -3.599 3.818
O -0.208 -3.586 2.439
```

---

The following is a GGA-PBE calculation of a relaxed structure of Hg3P2O8, from Materials Project.

Output
V	14.66	A^3/atom
energy	-5.3264	eV per atom
density	6896	kg/m³

```
52
Lattice="-3.639 -9.750 5.326 4.232 1.073 4.855 -5.867 5.535 6.124" Properties=species:S:1:pos:R:3 pbc="T T T"
Hg -4.113 2.037 5.295
Hg -2.699 -4.166 7.737
Hg -1.161 -5.178 11.010
Hg -2.576 1.025 8.568
Hg -4.523 -4.214 12.295
Hg 0.271 -1.321 8.037
Hg -0.752 1.072 4.010
Hg -5.546 -1.821 8.268
Hg 2.808 -0.067 4.858
Hg -5.016 0.010 12.483
Hg -8.083 -3.075 11.447
Hg -0.258 -3.152 3.822
P -2.768 2.340 11.794
P -1.238 -7.215 8.178
P -2.507 -5.482 4.511
P -4.036 4.073 8.127
P -6.071 -5.201 9.458
P -2.420 -1.427 6.030
P 0.797 2.059 6.847
P -2.855 -1.715 10.275
O -6.243 0.598 8.088
O -2.521 -7.957 7.801
O 0.968 -3.740 8.217
O -2.753 4.815 8.504
O -4.030 1.530 11.326
O -0.509 -7.831 9.426
O -1.245 -4.672 4.979
O -4.766 4.690 6.879
O -1.923 2.467 10.473
O -1.479 -5.723 8.615
O -3.352 -5.609 5.832
O -3.796 2.581 7.690
O 2.662 -1.757 6.146
O -6.141 -1.706 13.055
O -7.937 -1.385 10.159
O 0.866 -1.436 3.250
O -5.121 -4.976 8.273
O -2.733 0.055 6.283
O -0.154 1.834 8.032
O -2.542 -3.197 10.022
O -1.837 -0.800 9.506
O -2.970 -6.221 11.638
O -3.438 -2.342 6.799
O -2.305 3.079 4.667
O -4.319 -1.300 9.893
O -1.931 0.678 2.315
O -0.956 -1.842 6.412
O -3.344 -3.820 13.990
O -2.836 -1.410 11.821
O 0.501 1.012 5.705
O -2.439 -1.732 4.484
O -5.776 -4.154 10.600
```

---

The following is a GGA-PBE calculation of a relaxed structure of Hg3PO4, from Materials Project.

Output
distance to the lowest polymorph of the same formula	10	meV/atom
V	17.72	A^3/atom
energy	-4.4262	eV per atom
density	8160	kg/m³

```
32
Lattice="-1.129 -4.946 -0.861 3.053 0.772 -8.439 13.855 -2.537 -3.594" Properties=species:S:1:pos:R:3 pbc="T T T"
Hg 6.387 -1.363 -5.225
Hg 15.012 -3.629 -9.935
Hg 8.335 -1.263 -7.947
Hg 0.767 -3.081 -2.959
Hg 7.444 -5.447 -4.948
Hg 2.685 -3.112 -5.703
Hg 9.392 -5.347 -7.669
Hg 13.094 -3.598 -7.191
Hg 10.649 -2.587 -10.475
Hg 11.786 -6.577 -4.423
Hg 5.130 -4.123 -2.419
Hg 3.993 -0.133 -8.471
P 3.733 -0.953 -2.902
P 12.046 -5.758 -9.992
P 5.428 -3.136 -7.959
P 10.351 -3.574 -4.935
O 10.645 -3.961 -6.436
O 11.508 -6.445 -8.678
O 5.135 -2.749 -6.459
O 4.271 -0.265 -4.216
O 10.742 -2.084 -4.715
O 12.338 -4.259 -9.691
O 5.037 -4.626 -8.179
O 3.441 -2.452 -3.203
O 11.244 -4.461 -4.005
O 2.419 -0.275 -2.414
O 4.535 -2.249 -8.889
O 4.845 -0.877 -1.804
O 8.843 -3.752 -4.596
O 13.360 -6.435 -10.480
O 6.936 -2.958 -8.299
O 10.934 -5.834 -11.090
```

---

The following is a GGA-PBE calculation of a relaxed structure of HgPO4, from Materials Project.

Output
distance to the lowest polymorph of the same formula	0	meV/atom
V	14.07	A^3/atom
energy	-5.4661	eV per atom
density	5812	kg/m³

```
24
Lattice="-0.380 3.882 5.131 -0.473 -5.355 4.918 7.076 -0.316 2.086" Properties=species:S:1:pos:R:3 pbc="T T T"
Hg 1.177 -1.114 2.432
Hg 5.046 -0.675 9.704
Hg 1.112 -2.754 6.858
Hg 5.111 0.964 5.278
P 1.435 0.636 5.186
P 4.788 -2.426 6.951
P 1.365 -0.625 9.327
P 4.858 -1.165 2.809
O 0.778 0.587 3.747
O 5.444 -2.377 8.389
O 0.339 1.271 6.095
O 5.883 -3.061 6.041
O 1.819 -0.792 5.621
O 4.404 -0.997 6.516
O 2.730 1.463 5.210
O 3.492 -3.253 6.926
O 0.991 -4.478 5.574
O 5.232 2.688 6.562
O 0.397 -1.400 8.363
O 5.825 -0.390 3.773
O 2.028 -3.068 3.721
O 4.195 1.279 8.415
O 2.712 -1.349 9.398
O 3.510 -0.440 2.738
```

---

The following is a GGA-PBE calculation of a relaxed structure of HgP2O6, from Materials Project.

Output
V	14.21	A^3/atom
energy	-6.2771	eV per atom
density	4657	kg/m³

```
72
Lattice="-0.262 -7.228 -1.073 7.659 0.669 -6.379 8.976 -1.896 10.579" Properties=species:S:1:pos:R:3 pbc="T T T"
Hg 10.124 -3.802 -3.825
Hg 10.188 -1.298 4.210
Hg 5.528 -3.376 -1.475
Hg 6.906 -8.433 7.344
Hg 6.249 -4.653 6.952
Hg 6.185 -7.156 -1.083
Hg 10.845 -5.079 4.602
Hg 9.467 -0.022 -4.217
P 3.139 -0.528 -0.946
P 9.496 -5.731 7.638
P 9.479 -6.915 -1.827
P 10.632 -3.736 1.389
P 13.234 -7.927 4.073
P 6.877 -2.724 -4.511
P 6.894 -1.540 4.954
P 5.741 -4.719 1.738
P 2.392 -4.974 -1.007
P 10.188 -2.817 7.472
P 8.951 -2.580 -0.704
P 11.215 -6.538 0.493
P 13.981 -3.481 4.134
P 6.185 -5.637 -4.345
P 7.422 -5.875 3.831
P 5.158 -1.917 2.634
O 0.922 -4.615 -1.592
O 11.674 -2.749 8.120
O 9.302 -3.037 0.813
O 10.848 -6.509 -1.087
O 15.451 -3.840 4.719
O 4.699 -5.706 -4.993
O 7.071 -5.418 2.314
O 5.525 -1.946 4.214
O 2.924 -6.142 -1.989
O 9.564 -4.179 8.078
O 9.886 -1.284 -0.944
O 10.372 -5.304 1.109
O 13.449 -2.312 5.116
O 6.809 -4.275 -4.951
O 6.487 -7.171 4.071
O 6.001 -3.151 2.018
O 2.087 -1.063 -0.015
O 4.574 -1.009 -0.831
O 10.518 -6.046 6.580
O 11.815 -3.228 0.611
O 14.286 -7.391 3.142
O 5.855 -2.408 -3.453
O 8.046 -1.883 4.049
O 4.558 -5.227 2.516
O 5.698 -0.651 2.046
O 6.967 -4.799 4.766
O 6.986 -6.786 -4.873
O 13.096 -4.673 4.315
O 10.675 -7.804 1.081
O 9.406 -3.656 -1.639
O 9.387 -1.669 8.000
O 3.277 -3.781 -1.188
O 3.679 -2.218 2.538
O 8.875 -6.295 3.819
O 5.988 -5.483 -2.854
O 14.204 -2.914 2.750
O 12.694 -6.237 0.589
O 7.498 -2.160 -0.692
O 10.385 -2.972 5.981
O 2.169 -5.540 0.377
O 5.802 -4.910 0.234
O 6.804 -2.154 6.338
O 8.340 -2.400 -4.277
O 11.799 -7.446 3.958
O 10.571 -3.545 2.893
O 9.569 -6.301 -3.211
O 8.033 -6.055 7.404
O 8.327 -6.572 -0.922
```

---

The following is a GGA-PBE calculation of a relaxed structure of Hg2PO4, from Materials Project.

Output
V	16.56	A^3/atom
energy	-4.7994	eV per atom
density	7106	kg/m³

```
28
Lattice="-2.053 -3.416 6.888 3.986 -5.570 -4.051 7.118 -0.443 4.017" Properties=species:S:1:pos:R:3 pbc="T T T"
Hg 1.018 -5.742 3.198
Hg 3.238 -3.024 3.888
Hg 8.034 -3.687 3.656
Hg 5.814 -6.405 2.965
Hg 2.479 -6.448 5.277
Hg 0.845 -1.987 3.497
Hg 6.573 -2.982 1.576
Hg 8.207 -7.443 3.357
P 9.021 -5.794 -0.489
P 0.030 -3.635 7.343
P 3.574 -4.899 0.924
P 5.478 -4.530 5.930
O 3.240 -6.032 -0.086
O 4.769 -4.074 0.373
O 5.812 -3.398 6.940
O 4.282 -5.355 6.481
O 2.300 -4.039 1.154
O 3.941 -5.437 2.335
O 6.752 -5.391 5.700
O 5.110 -3.993 4.518
O 8.030 -8.261 5.739
O 4.844 -1.484 2.646
O 1.022 -1.168 1.115
O 4.207 -7.946 4.208
O 9.480 -6.188 0.928
O 7.670 -5.082 -0.288
O -0.428 -3.242 5.925
O 1.382 -4.347 7.142
```

---

The following is a GGA-PBE calculation of a relaxed structure of Hg3PO4, from Materials Project.

Output
distance to the lowest polymorph of the same formula	0	meV/atom
V	18.93	A^3/atom
energy	-4.4365	eV per atom
density	7640	kg/m³

```
32
Lattice="8.369 0.000 0.000 0.000 8.076 0.000 0.000 4.926 8.962" Properties=species:S:1:pos:R:3 pbc="T T T"
Hg 1.883 6.359 5.133
Hg 3.323 9.591 4.745
Hg 7.920 8.772 3.481
Hg 5.046 3.411 4.217
Hg 4.633 11.235 7.963
Hg 7.507 5.874 8.699
Hg 2.301 3.896 0.652
Hg 0.449 4.230 5.481
Hg 6.068 9.106 8.310
Hg 6.485 6.643 3.829
Hg 0.861 7.128 0.264
Hg 3.736 1.767 1.000
P 0.566 9.395 6.756
P 3.619 6.932 2.275
P 7.803 3.607 2.207
P 4.750 6.070 6.688
O 6.837 2.854 1.238
O 2.652 7.685 3.243
O 5.716 5.317 5.719
O 0.253 4.716 1.517
O 4.437 5.823 2.964
O 6.949 4.263 3.368
O 8.115 8.286 7.445
O 4.617 7.954 1.614
O 2.765 6.276 1.113
O 1.532 10.147 7.724
O 1.420 8.739 5.594
O 3.931 7.179 5.998
O 7.936 10.417 6.095
O 0.433 2.585 2.868
O 5.604 6.726 7.849
O 3.751 5.047 7.349
```

---

The following is a GGA-PBE calculation of a relaxed structure of HgPO4, from Materials Project.

Output
distance to the lowest polymorph of the same formula	225	meV/atom
V	19.28	A^3/atom
energy	-5.2409	eV per atom
density	4242	kg/m³

```
24
Lattice="-2.471 0.708 -4.177 -11.516 -6.943 5.637 0.052 4.950 6.203" Properties=species:S:1:pos:R:3 pbc="T T T"
Hg -2.012 3.808 1.335
Hg -7.335 -1.861 0.827
Hg -11.924 -5.093 6.328
Hg -6.601 0.576 6.836
P -2.690 -0.597 -1.010
P -5.234 0.329 3.349
P -11.246 -0.688 8.673
P -8.702 -1.614 4.314
O -1.201 4.579 5.758
O -5.415 -0.421 4.707
O -12.736 -5.864 1.905
O -8.521 -0.864 2.956
O -2.591 3.460 3.943
O -5.337 -0.655 2.173
O -11.345 -4.745 3.720
O -8.599 -0.630 5.490
O -3.341 0.779 -1.213
O -6.232 1.495 3.316
O -10.595 -2.064 8.876
O -7.704 -2.780 4.347
O -3.537 -1.379 0.029
O -3.802 0.921 3.273
O -10.399 0.094 7.634
O -10.134 -2.206 4.390
```